Entry 1:
# NaVPO5, relaxed, DFT PBE with a Hubbard U
data_NaVPO5
_chemical_formula_sum 'Na4 V4 P4 O20'
_cell_length_a 10.537
_cell_length_b 6.355
_cell_length_c 6.355
_cell_angle_alpha 90.00
_cell_angle_beta 90.00
_cell_angle_gamma 90.00
_space_group_name_H-M_alt 'P n a 21'
_space_group_IT_number 33
loop_
_space_group_symop_operation_xyz
'x,y,z'
'-x,-y,z+1/2'
'-x+1/2,y+1/2,z+1/2'
'x+1/2,-y+1/2,z'
loop_
_atom_site_label
_atom_site_fract_x
_atom_site_fract_y
_atom_site_fract_z
Na1 0.246 0.008 0.000
V1 0.028 0.749 0.745
P1 0.000 0.250 0.744
O1 0.086 0.052 0.748
O2 0.087 0.745 0.442
O3 0.087 0.754 0.047
O4 0.088 0.447 0.739
O5 0.128 0.253 0.246
# Formation energy from the elements, eV/atom: -2.60
# ΔE to the lowest computed polymorph, meV/atom: 31
# VASP energy, eV/cell: -224.97


Entry 2:
# Li9Mn7O16, relaxed, DFT PBE with a Hubbard U
data_Li9Mn7O16
_chemical_formula_sum 'Li9 Mn7 O16'
_cell_length_a 5.094
_cell_length_b 6.060
_cell_length_c 10.430
_cell_angle_alpha 76.19
_cell_angle_beta 75.90
_cell_angle_gamma 76.13
_space_group_name_H-M_alt 'P -1'
_space_group_IT_number 2
loop_
_space_group_symop_operation_xyz
'x,y,z'
'-x,-y,-z'
loop_
_atom_site_label
_atom_site_fract_x
_atom_site_fract_y
_atom_site_fract_z
Li1 0.000 0.000 0.000
Li2 0.488 0.185 0.879
Li3 0.494 0.065 0.626
Li4 0.498 0.313 0.122
Li5 0.499 0.438 0.375
Mn1 0.000 0.500 0.000
Mn2 0.002 0.749 0.500
Mn3 0.003 0.873 0.754
Mn4 0.005 0.363 0.754
O1 0.216 0.190 0.064
O2 0.220 0.285 0.316
O3 0.226 0.644 0.069
O4 0.229 0.036 0.806
O5 0.230 0.393 0.570
O6 0.233 0.892 0.568
O7 0.235 0.513 0.822
O8 0.235 0.769 0.317
# Formation energy from the elements, eV/atom: -2.13
# ΔE to the lowest computed polymorph, meV/atom: 12
# VASP energy, eV/cell: -206.07


Entry 3:
# Na3CoSiBO7, relaxed, DFT PBE with a Hubbard U
data_Na3CoSiBO7
_chemical_formula_sum 'Na6 Co2 Si2 B2 O14'
_cell_length_a 5.199
_cell_length_b 6.333
_cell_length_c 8.972
_cell_angle_alpha 90.00
_cell_angle_beta 92.22
_cell_angle_gamma 90.00
_space_group_name_H-M_alt 'P 1 21/m 1'
_space_group_IT_number 11
loop_
_space_group_symop_operation_xyz
'x,y,z'
'-x,-y,-z'
'-x,y+1/2,-z'
'x,-y+1/2,z'
loop_
_atom_site_label
_atom_site_fract_x
_atom_site_fract_y
_atom_site_fract_z
Na1 0.237 0.250 0.082
Na2 0.252 0.508 0.738
Co1 0.213 0.750 0.332
Si1 0.286 0.250 0.431
B1 0.268 0.750 0.069
O1 0.033 0.750 0.138
O2 0.112 0.250 0.577
O3 0.220 0.050 0.316
O4 0.299 0.750 0.922
O5 0.404 0.750 0.523
O6 0.465 0.750 0.180
# Formation energy from the elements, eV/atom: -2.26
# ΔE to the lowest computed polymorph, meV/atom: 0
# VASP energy, eV/cell: -161.58


Q: Which value of VASP energy does entry 2 give?
A: -206.07 eV/cell


Q: Number 1 is which compound?
A: NaVPO5


Q: Which value of ΔE to the lowest computed polymorph does entry 2 give?
A: 12 meV/atom